Here is a relaxed structure of Tl2GeTe5 from Materials Project. Energies are from r²SCAN.

Cell: 8.449 8.449 15.063 Å, 90.00 90.00 90.00°
Sites, in units of the cell vectors:
Tl: 0.000 0.000 0.121
Tl: 0.000 0.000 0.378
Tl: 0.000 0.000 0.622
Tl: 0.000 0.000 0.879
Tl: 0.500 0.500 0.121
Tl: 0.500 0.500 0.378
Tl: 0.500 0.500 0.622
Tl: 0.500 0.500 0.879
Ge: 0.000 0.500 0.118
Ge: 0.000 0.500 0.882
Ge: 0.500 0.000 0.118
Ge: 0.500 0.000 0.882
Te: 0.000 0.500 0.372
Te: 0.000 0.500 0.628
Te: 0.165 0.335 0.000
Te: 0.177 0.677 0.219
Te: 0.177 0.677 0.781
Te: 0.186 0.686 0.500
Te: 0.314 0.186 0.500
Te: 0.323 0.177 0.219
Te: 0.323 0.177 0.781
Te: 0.335 0.835 0.000
Te: 0.500 0.000 0.372
Te: 0.500 0.000 0.628
Te: 0.665 0.165 0.000
Te: 0.677 0.823 0.219
Te: 0.677 0.823 0.781
Te: 0.686 0.814 0.500
Te: 0.814 0.314 0.500
Te: 0.823 0.323 0.219
Te: 0.823 0.323 0.781
Te: 0.835 0.665 0.000

Properties
Mass density, g cm⁻³: 6.92
Volume, Å³ per atom: 33.60
DFT formation energy, eV/atom: -0.196
Space-group type: P4/mbm, No. 127

---

Here is a relaxed structure of Tl3GeTe3 from Materials Project. Energies are from r²SCAN.

Cell: 9.706 9.895 10.633 Å, 89.44 82.97 79.24°
Sites, in units of the cell vectors:
Tl: 0.011 0.375 0.350
Tl: 0.142 0.227 0.911
Tl: 0.189 0.717 0.239
Tl: 0.312 0.842 0.839
Tl: 0.387 0.047 0.350
Tl: 0.403 0.428 0.658
Tl: 0.597 0.572 0.342
Tl: 0.613 0.953 0.650
Tl: 0.688 0.158 0.161
Tl: 0.811 0.283 0.761
Tl: 0.858 0.773 0.089
Tl: 0.989 0.625 0.650
Ge: 0.076 0.984 0.585
Ge: 0.409 0.428 0.017
Ge: 0.591 0.572 0.983
Ge: 0.924 0.016 0.415
Te: 0.077 0.067 0.210
Te: 0.175 0.211 0.591
Te: 0.189 0.559 0.921
Te: 0.282 0.777 0.527
Te: 0.369 0.385 0.258
Te: 0.497 0.201 0.890
Te: 0.503 0.799 0.110
Te: 0.631 0.615 0.742
Te: 0.718 0.223 0.473
Te: 0.811 0.441 0.079
Te: 0.825 0.789 0.409
Te: 0.923 0.933 0.790

Properties
Mass density, g cm⁻³: 7.13
Volume, Å³ per atom: 35.56
DFT formation energy, eV/atom: -0.312
Space-group type: P-1, No. 2

---

Here is a relaxed structure of ThGe2 from Materials Project. Energies are from r²SCAN.

Cell: 8.699 8.699 4.148 Å, 90.00 90.00 153.31°
Sites, in units of the cell vectors:
Th: 0.137 0.863 0.000
Th: 0.863 0.137 0.000
Ge: 0.000 0.000 0.500
Ge: 0.296 0.704 0.500
Ge: 0.500 0.500 0.000
Ge: 0.704 0.296 0.500

Properties
Mass density, g cm⁻³: 8.89
Volume, Å³ per atom: 23.50
DFT formation energy, eV/atom: -0.678
Space-group type: Cmmm, No. 65

---

Here is a relaxed structure of Th3Ge2 from Materials Project. Energies are from r²SCAN.

Cell: 7.995 7.995 4.163 Å, 90.00 90.00 90.00°
Sites, in units of the cell vectors:
Th: 0.000 0.000 0.000
Th: 0.178 0.322 0.500
Th: 0.322 0.822 0.500
Th: 0.500 0.500 0.000
Th: 0.678 0.178 0.500
Th: 0.822 0.678 0.500
Ge: 0.120 0.620 0.000
Ge: 0.380 0.120 0.000
Ge: 0.620 0.880 0.000
Ge: 0.880 0.380 0.000

Properties
Mass density, g cm⁻³: 10.50
Volume, Å³ per atom: 26.61
DFT formation energy, eV/atom: -0.755
Space-group type: P4/mbm, No. 127

---

Here is a relaxed structure of ThGe2 from Materials Project. Energies are from r²SCAN.

Cell: 8.801 8.801 3.986 Å, 90.00 90.00 152.77°
Sites, in units of the cell vectors:
Th: 0.110 0.890 0.750
Th: 0.890 0.110 0.250
Ge: 0.251 0.749 0.250
Ge: 0.454 0.546 0.750
Ge: 0.546 0.454 0.250
Ge: 0.749 0.251 0.750

Properties
Mass density, g cm⁻³: 8.87
Volume, Å³ per atom: 23.54
DFT formation energy, eV/atom: -0.653
Space-group type: Cmcm, No. 63

---

Here is a relaxed structure of Ti5Ge4 from Materials Project. Energies are from r²SCAN.

Cell: 6.654 12.793 6.758 Å, 90.00 90.00 90.00°
Sites, in units of the cell vectors:
Ti: 0.014 0.094 0.178
Ti: 0.014 0.406 0.178
Ti: 0.149 0.626 0.334
Ti: 0.149 0.874 0.334
Ti: 0.174 0.250 0.503
Ti: 0.326 0.750 0.003
Ti: 0.351 0.126 0.834
Ti: 0.351 0.374 0.834
Ti: 0.486 0.594 0.678
Ti: 0.486 0.906 0.678
Ti: 0.514 0.094 0.322
Ti: 0.514 0.406 0.322
Ti: 0.649 0.626 0.166
Ti: 0.649 0.874 0.166
Ti: 0.674 0.250 0.997
Ti: 0.826 0.750 0.497
Ti: 0.851 0.126 0.666
Ti: 0.851 0.374 0.666
Ti: 0.986 0.594 0.822
Ti: 0.986 0.906 0.822
Ge: 0.047 0.250 0.889
Ge: 0.182 0.750 0.652
Ge: 0.193 0.040 0.537
Ge: 0.193 0.460 0.537
Ge: 0.307 0.540 0.037
Ge: 0.307 0.960 0.037
Ge: 0.318 0.250 0.152
Ge: 0.453 0.750 0.389
Ge: 0.547 0.250 0.611
Ge: 0.682 0.750 0.848
Ge: 0.693 0.040 0.963
Ge: 0.693 0.460 0.963
Ge: 0.807 0.540 0.463
Ge: 0.807 0.960 0.463
Ge: 0.818 0.250 0.348
Ge: 0.953 0.750 0.111

Properties
Mass density, g cm⁻³: 6.12
Volume, Å³ per atom: 15.98
DFT formation energy, eV/atom: -0.732
Space-group type: Pnma, No. 62

---

Here is a relaxed structure of TmTiGe from Materials Project. Energies are from r²SCAN.

Cell: 4.003 4.003 7.594 Å, 90.00 90.00 90.00°
Sites, in units of the cell vectors:
Tm: 0.250 0.250 0.153
Tm: 0.750 0.750 0.847
Ti: 0.250 0.750 0.500
Ti: 0.750 0.250 0.500
Ge: 0.250 0.250 0.748
Ge: 0.750 0.750 0.252

Properties
Mass density, g cm⁻³: 7.90
Volume, Å³ per atom: 20.28
DFT formation energy, eV/atom: -0.810
Space-group type: P4/nmm, No. 129

---

Here is a relaxed structure of YTiGe from Materials Project. Energies are from r²SCAN.

Cell: 4.044 4.044 7.738 Å, 90.00 90.00 90.00°
Sites, in units of the cell vectors:
Y: 0.250 0.250 0.152
Y: 0.750 0.750 0.848
Ti: 0.250 0.750 0.500
Ti: 0.750 0.250 0.500
Ge: 0.250 0.250 0.741
Ge: 0.750 0.750 0.259

Properties
Mass density, g cm⁻³: 5.50
Volume, Å³ per atom: 21.09
DFT formation energy, eV/atom: -0.814
Space-group type: P4/nmm, No. 129

---

Here is a relaxed structure of Tm11Ge10 from Materials Project. Energies are from r²SCAN.

Cell: 11.061 11.061 11.061 Å, 121.99 121.99 86.59°
Sites, in units of the cell vectors:
Tm: 0.058 0.310 0.748
Tm: 0.101 0.426 0.325
Tm: 0.101 0.777 0.675
Tm: 0.160 0.160 0.000
Tm: 0.223 0.899 0.325
Tm: 0.310 0.058 0.748
Tm: 0.310 0.562 0.252
Tm: 0.323 0.323 0.646
Tm: 0.323 0.677 0.000
Tm: 0.426 0.101 0.325
Tm: 0.438 0.690 0.748
Tm: 0.562 0.310 0.252
Tm: 0.574 0.899 0.675
Tm: 0.677 0.323 0.000
Tm: 0.677 0.677 0.354
Tm: 0.690 0.438 0.748
Tm: 0.690 0.942 0.252
Tm: 0.777 0.101 0.675
Tm: 0.840 0.840 0.000
Tm: 0.899 0.223 0.325
Tm: 0.899 0.574 0.675
Tm: 0.942 0.690 0.252
Ge: 0.027 0.027 0.417
Ge: 0.027 0.610 0.000
Ge: 0.121 0.121 0.241
Ge: 0.121 0.879 0.000
Ge: 0.143 0.500 0.643
Ge: 0.250 0.750 0.500
Ge: 0.384 0.384 0.000
Ge: 0.390 0.390 0.417
Ge: 0.390 0.973 0.000
Ge: 0.500 0.143 0.643
Ge: 0.500 0.857 0.357
Ge: 0.610 0.027 0.000
Ge: 0.610 0.610 0.583
Ge: 0.616 0.616 0.000
Ge: 0.750 0.250 0.500
Ge: 0.857 0.500 0.357
Ge: 0.879 0.121 0.000
Ge: 0.879 0.879 0.759
Ge: 0.973 0.390 0.000
Ge: 0.973 0.973 0.583

Properties
Mass density, g cm⁻³: 9.27
Volume, Å³ per atom: 22.05
DFT formation energy, eV/atom: -0.942
Space-group type: I4/mmm, No. 139

---

Here is a relaxed structure of Tm5Ge3 from Materials Project. Energies are from r²SCAN.

Cell: 8.318 8.318 6.280 Å, 90.00 90.00 120.00°
Sites, in units of the cell vectors:
Tm: 0.000 0.241 0.250
Tm: 0.000 0.759 0.750
Tm: 0.241 0.000 0.250
Tm: 0.241 0.241 0.750
Tm: 0.333 0.667 0.000
Tm: 0.333 0.667 0.500
Tm: 0.667 0.333 0.000
Tm: 0.667 0.333 0.500
Tm: 0.759 0.000 0.750
Tm: 0.759 0.759 0.250
Ge: 0.000 0.394 0.750
Ge: 0.000 0.606 0.250
Ge: 0.394 0.000 0.750
Ge: 0.394 0.394 0.250
Ge: 0.606 0.000 0.250
Ge: 0.606 0.606 0.750

Properties
Mass density, g cm⁻³: 9.38
Volume, Å³ per atom: 23.52
DFT formation energy, eV/atom: -0.920
Space-group type: P6_3/mcm, No. 193

---

Here is a relaxed structure of TmGe3 from Materials Project. Energies are from r²SCAN.

Cell: 10.532 10.532 3.867 Å, 90.00 90.00 158.22°
Sites, in units of the cell vectors:
Tm: 0.083 0.917 0.750
Tm: 0.917 0.083 0.250
Ge: 0.191 0.809 0.250
Ge: 0.311 0.689 0.250
Ge: 0.461 0.539 0.750
Ge: 0.539 0.461 0.250
Ge: 0.689 0.311 0.750
Ge: 0.809 0.191 0.750

Properties
Mass density, g cm⁻³: 8.07
Volume, Å³ per atom: 19.90
DFT formation energy, eV/atom: -0.446
Space-group type: Cmcm, No. 63

---

Here is a relaxed structure of Tm3Ge4 from Materials Project. Energies are from r²SCAN.

Cell: 5.613 5.613 14.063 Å, 90.00 90.00 138.28°
Sites, in units of the cell vectors:
Tm: 0.049 0.951 0.750
Tm: 0.332 0.668 0.597
Tm: 0.332 0.668 0.903
Tm: 0.668 0.332 0.097
Tm: 0.668 0.332 0.403
Tm: 0.951 0.049 0.250
Ge: 0.000 0.000 0.000
Ge: 0.000 0.000 0.500
Ge: 0.222 0.778 0.250
Ge: 0.379 0.621 0.109
Ge: 0.379 0.621 0.391
Ge: 0.621 0.379 0.609
Ge: 0.621 0.379 0.891
Ge: 0.778 0.222 0.750

Properties
Mass density, g cm⁻³: 8.98
Volume, Å³ per atom: 21.06
DFT formation energy, eV/atom: -0.834
Space-group type: Cmcm, No. 63